[1]
First-principles (PBE-GGA) data for an optimized crystal structure of Na5Li3Ti5O14, as listed in the Materials Project.

The structure in CIF format:
```
data_Na5Li3Ti5O14
_space_group_name_H-M_alt 'P 1'
_space_group_IT_number 1
_cell_length_a 5.228
_cell_length_b 7.038
_cell_length_c 8.193
_cell_angle_alpha 88.48
_cell_angle_beta 101.75
_cell_angle_gamma 97.62
loop_
_space_group_symop_operation_xyz
'x,y,z'
loop_
_atom_site_label
_atom_site_fract_x
_atom_site_fract_y
_atom_site_fract_z
Na1 0.649 0.293 0.800
Na2 0.072 0.136 0.640
Na3 0.510 0.002 0.494
Na4 0.905 0.857 0.358
Na5 0.357 0.730 0.221
Li1 0.226 0.436 0.938
Li2 0.861 0.705 0.714
Li3 0.778 0.570 0.066
Ti1 0.006 0.992 0.998
Ti2 0.438 0.860 0.870
Ti3 0.288 0.576 0.590
Ti4 0.706 0.425 0.416
Ti5 0.132 0.284 0.265
O1 0.117 0.747 0.959
O2 0.300 0.093 0.896
O3 0.494 0.581 0.812
O4 0.743 0.984 0.785
O5 0.210 0.824 0.625
O6 0.974 0.448 0.650
O7 0.400 0.313 0.512
O8 0.595 0.676 0.484
O9 0.025 0.546 0.334
O10 0.842 0.189 0.382
O11 0.197 0.029 0.231
O12 0.464 0.426 0.206
O13 0.688 0.845 0.071
O14 0.954 0.282 0.044
```

Offset from the most stable computed form   21 meV/atom
Calculated formation energy   -2892.2 meV/atom
Maximum piezoelectric response   1.517 C/m2
Symmetry   P1

---

[2]
First-principles (PBE-GGA) data for an optimized crystal structure of NaLiTi3O7, as listed in the Materials Project.

The structure in CIF format:
```
data_NaLiTi3O7
_space_group_name_H-M_alt 'P 1'
_space_group_IT_number 1
_cell_length_a 5.770
_cell_length_b 10.067
_cell_length_c 10.067
_cell_angle_alpha 111.47
_cell_angle_beta 90.00
_cell_angle_gamma 90.00
loop_
_space_group_symop_operation_xyz
'x,y,z'
loop_
_atom_site_label
_atom_site_fract_x
_atom_site_fract_y
_atom_site_fract_z
Na1 0.255 0.119 0.119
Na2 0.745 0.881 0.881
Na3 0.255 0.381 0.381
Na4 0.745 0.619 0.619
Li1 0.260 0.067 0.433
Li2 0.740 0.567 0.933
Li3 0.740 0.933 0.567
Li4 0.260 0.433 0.067
Ti1 0.500 0.250 0.750
Ti2 0.500 0.750 0.250
Ti3 0.000 0.250 0.750
Ti4 0.000 0.750 0.250
Ti5 0.752 0.268 0.486
Ti6 0.248 0.514 0.732
Ti7 0.752 0.014 0.232
Ti8 0.248 0.768 0.986
Ti9 0.248 0.732 0.514
Ti10 0.752 0.486 0.268
Ti11 0.248 0.986 0.768
Ti12 0.752 0.232 0.014
O1 0.250 0.852 0.380
O2 0.750 0.620 0.148
O3 0.250 0.120 0.648
O4 0.750 0.352 0.880
O5 0.750 0.148 0.620
O6 0.250 0.380 0.852
O7 0.750 0.880 0.352
O8 0.250 0.648 0.120
O9 0.500 0.368 0.632
O10 0.500 0.868 0.132
O11 0.500 0.632 0.368
O12 0.500 0.132 0.868
O13 0.000 0.132 0.868
O14 0.000 0.632 0.368
O15 0.000 0.868 0.132
O16 0.000 0.368 0.632
O17 0.528 0.145 0.355
O18 0.472 0.645 0.855
O19 0.472 0.855 0.645
O20 0.528 0.355 0.145
O21 0.753 0.416 0.416
O22 0.247 0.584 0.584
O23 0.753 0.084 0.084
O24 0.247 0.916 0.916
O25 0.024 0.857 0.643
O26 0.976 0.357 0.143
O27 0.976 0.143 0.357
O28 0.024 0.643 0.857
```

Calculated formation energy   -3206.5 meV/atom
Symmetry   Cmme

---

[3]
First-principles (PBE-GGA) data for an optimized crystal structure of NaLi2Pb, as listed in the Materials Project.

The structure in CIF format:
```
data_NaLi2Pb
_space_group_name_H-M_alt 'P 1'
_space_group_IT_number 1
_cell_length_a 4.981
_cell_length_b 4.981
_cell_length_c 4.981
_cell_angle_alpha 60.00
_cell_angle_beta 60.00
_cell_angle_gamma 60.00
loop_
_space_group_symop_operation_xyz
'x,y,z'
loop_
_atom_site_label
_atom_site_fract_x
_atom_site_fract_y
_atom_site_fract_z
Na1 0.500 0.500 0.500
Li1 0.250 0.250 0.250
Li2 0.750 0.750 0.750
Pb1 0.000 0.000 0.000
```

Calculated formation energy   -246.5 meV/atom
Symmetry   Fm-3m

---

[4]
First-principles (PBE-GGA) data for an optimized crystal structure of NaLiPt, as listed in the Materials Project.

The structure in CIF format:
```
data_NaLiPt
_space_group_name_H-M_alt 'P 1'
_space_group_IT_number 1
_cell_length_a 4.501
_cell_length_b 4.501
_cell_length_c 4.501
_cell_angle_alpha 60.00
_cell_angle_beta 60.00
_cell_angle_gamma 60.00
loop_
_space_group_symop_operation_xyz
'x,y,z'
loop_
_atom_site_label
_atom_site_fract_x
_atom_site_fract_y
_atom_site_fract_z
Na1 0.250 0.250 0.250
Li1 0.500 0.500 0.500
Pt1 0.000 0.000 0.000
```

Calculated formation energy   223.7 meV/atom
Symmetry   F-43m

---

[5]
First-principles (PBE-GGA) data for an optimized crystal structure of Na5Li3Ti2S8, as listed in the Materials Project.

The structure in CIF format:
```
data_Na5Li3Ti2S8
_space_group_name_H-M_alt 'P 1'
_space_group_IT_number 1
_cell_length_a 10.097
_cell_length_b 10.097
_cell_length_c 12.177
_cell_angle_alpha 52.96
_cell_angle_beta 52.96
_cell_angle_gamma 57.48
loop_
_space_group_symop_operation_xyz
'x,y,z'
loop_
_atom_site_label
_atom_site_fract_x
_atom_site_fract_y
_atom_site_fract_z
Na1 0.414 0.387 0.734
Na2 0.008 0.992 0.250
Na3 0.392 0.900 0.484
Na4 0.608 0.100 0.516
Na5 0.586 0.613 0.266
Na6 0.992 0.008 0.750
Na7 0.900 0.392 0.984
Na8 0.100 0.608 0.016
Na9 0.387 0.414 0.234
Na10 0.613 0.586 0.766
Li1 0.806 0.809 0.758
Li2 0.191 0.194 0.742
Li3 0.809 0.806 0.258
Li4 0.500 0.000 0.000
Li5 0.000 0.500 0.500
Li6 0.194 0.191 0.242
Ti1 0.849 0.319 0.468
Ti2 0.151 0.681 0.532
Ti3 0.319 0.849 0.968
Ti4 0.681 0.151 0.032
S1 0.425 0.317 0.008
S2 0.118 0.710 0.177
S3 0.575 0.683 0.992
S4 0.758 0.884 0.050
S5 0.105 0.666 0.748
S6 0.683 0.575 0.492
S7 0.242 0.116 0.950
S8 0.290 0.882 0.323
S9 0.334 0.895 0.752
S10 0.666 0.105 0.248
S11 0.884 0.758 0.550
S12 0.116 0.242 0.450
S13 0.882 0.290 0.823
S14 0.710 0.118 0.677
S15 0.317 0.425 0.508
S16 0.895 0.334 0.252
```

Calculated formation energy   -1515.8 meV/atom
Symmetry   C2/c

---

[6]
First-principles (PBE-GGA) data for an optimized crystal structure of NaLiZnS2, as listed in the Materials Project.

The structure in CIF format:
```
data_NaLiZnS2
_space_group_name_H-M_alt 'P 1'
_space_group_IT_number 1
_cell_length_a 3.982
_cell_length_b 3.982
_cell_length_c 6.824
_cell_angle_alpha 90.00
_cell_angle_beta 90.00
_cell_angle_gamma 120.00
loop_
_space_group_symop_operation_xyz
'x,y,z'
loop_
_atom_site_label
_atom_site_fract_x
_atom_site_fract_y
_atom_site_fract_z
Na1 0.667 0.333 0.026
Li1 0.000 0.000 0.357
Zn1 0.333 0.667 0.612
S1 0.000 0.000 0.734
S2 0.333 0.667 0.272
```

Calculated formation energy   -1271.9 meV/atom
Maximum piezoelectric response   0.448 C/m2
Symmetry   P3m1

---

[7]
First-principles (PBE-GGA) data for an optimized crystal structure of NaLi3Si6, as listed in the Materials Project.

The structure in CIF format:
```
data_NaLi3Si6
_space_group_name_H-M_alt 'P 1'
_space_group_IT_number 1
_cell_length_a 3.800
_cell_length_b 10.320
_cell_length_c 18.006
_cell_angle_alpha 90.00
_cell_angle_beta 90.00
_cell_angle_gamma 90.00
loop_
_space_group_symop_operation_xyz
'x,y,z'
loop_
_atom_site_label
_atom_site_fract_x
_atom_site_fract_y
_atom_site_fract_z
Na1 0.750 0.250 0.425
Na2 0.250 0.750 0.575
Na3 0.250 0.750 0.075
Na4 0.750 0.250 0.925
Li1 0.250 0.015 0.932
Li2 0.750 0.985 0.068
Li3 0.750 0.515 0.568
Li4 0.250 0.485 0.432
Li5 0.250 0.409 0.028
Li6 0.750 0.591 0.972
Li7 0.750 0.909 0.472
Li8 0.250 0.091 0.528
Li9 0.750 0.939 0.813
Li10 0.250 0.061 0.187
Li11 0.250 0.439 0.687
Li12 0.750 0.561 0.313
Si1 0.250 0.523 0.197
Si2 0.750 0.477 0.803
Si3 0.750 0.023 0.303
Si4 0.250 0.977 0.697
Si5 0.250 0.166 0.055
Si6 0.750 0.834 0.945
Si7 0.750 0.666 0.445
Si8 0.250 0.334 0.555
Si9 0.250 0.359 0.295
Si10 0.750 0.641 0.705
Si11 0.750 0.859 0.205
Si12 0.250 0.141 0.795
Si13 0.750 0.496 0.118
Si14 0.250 0.504 0.882
Si15 0.250 0.996 0.382
Si16 0.750 0.004 0.618
Si17 0.750 0.258 0.117
Si18 0.250 0.742 0.883
Si19 0.250 0.758 0.383
Si20 0.750 0.242 0.617
Si21 0.250 0.741 0.249
Si22 0.750 0.259 0.751
Si23 0.750 0.241 0.251
Si24 0.250 0.759 0.749
```

Calculated formation energy   -84.9 meV/atom
Symmetry   Pnma

---

[8]
First-principles (PBE-GGA) data for an optimized crystal structure of NaLi5Sn4, as listed in the Materials Project.

The structure in CIF format:
```
data_NaLi5Sn4
_space_group_name_H-M_alt 'P 1'
_space_group_IT_number 1
_cell_length_a 10.944
_cell_length_b 10.944
_cell_length_c 10.944
_cell_angle_alpha 26.23
_cell_angle_beta 26.23
_cell_angle_gamma 26.23
loop_
_space_group_symop_operation_xyz
'x,y,z'
loop_
_atom_site_label
_atom_site_fract_x
_atom_site_fract_y
_atom_site_fract_z
Na1 0.484 0.484 0.484
Li1 0.861 0.861 0.861
Li2 0.947 0.947 0.947
Li3 0.584 0.584 0.584
Li4 0.137 0.137 0.137
Li5 0.054 0.054 0.054
Sn1 0.771 0.771 0.771
Sn2 0.682 0.682 0.682
Sn3 0.317 0.317 0.317
Sn4 0.225 0.225 0.225
```

Calculated formation energy   -256.1 meV/atom
Symmetry   R3m

---

[9]
First-principles (PBE-GGA) data for an optimized crystal structure of Na2Li5Sn4, as listed in the Materials Project.

The structure in CIF format:
```
data_Na2Li5Sn4
_space_group_name_H-M_alt 'P 1'
_space_group_IT_number 1
_cell_length_a 24.394
_cell_length_b 24.394
_cell_length_c 24.394
_cell_angle_alpha 11.71
_cell_angle_beta 11.71
_cell_angle_gamma 11.71
loop_
_space_group_symop_operation_xyz
'x,y,z'
loop_
_atom_site_label
_atom_site_fract_x
_atom_site_fract_y
_atom_site_fract_z
Na1 0.242 0.242 0.242
Na2 0.047 0.047 0.047
Na3 0.953 0.953 0.953
Na4 0.758 0.758 0.758
Li1 0.521 0.521 0.521
Li2 0.323 0.323 0.323
Li3 0.200 0.200 0.200
Li4 0.284 0.284 0.284
Li5 0.677 0.677 0.677
Li6 0.559 0.559 0.559
Li7 0.800 0.800 0.800
Li8 0.479 0.479 0.479
Li9 0.441 0.441 0.441
Li10 0.716 0.716 0.716
Sn1 0.362 0.362 0.362
Sn2 0.840 0.840 0.840
Sn3 0.638 0.638 0.638
Sn4 0.880 0.880 0.880
Sn5 0.401 0.401 0.401
Sn6 0.120 0.120 0.120
Sn7 0.160 0.160 0.160
Sn8 0.599 0.599 0.599
```

Calculated formation energy   -244.8 meV/atom
Symmetry   R-3m

---

[10]
First-principles (PBE-GGA) data for an optimized crystal structure of LiNbO2, as listed in the Materials Project.

The structure in CIF format:
```
data_LiNbO2
_space_group_name_H-M_alt 'P 1'
_space_group_IT_number 1
_cell_length_a 2.938
_cell_length_b 2.938
_cell_length_c 10.596
_cell_angle_alpha 90.00
_cell_angle_beta 90.00
_cell_angle_gamma 120.00
loop_
_space_group_symop_operation_xyz
'x,y,z'
loop_
_atom_site_label
_atom_site_fract_x
_atom_site_fract_y
_atom_site_fract_z
Li1 0.000 0.000 0.000
Li2 0.000 0.000 0.500
Nb1 0.333 0.667 0.250
Nb2 0.667 0.333 0.750
O1 0.333 0.667 0.877
O2 0.333 0.667 0.623
O3 0.667 0.333 0.377
O4 0.667 0.333 0.123
```

Calculated formation energy   -2686.4 meV/atom
Symmetry   P6_3/mmc

---

[11]
First-principles (PBE-GGA) data for an optimized crystal structure of Li15Nb16O48, as listed in the Materials Project.

The structure in CIF format:
```
data_Li15Nb16O48
_space_group_name_H-M_alt 'P 1'
_space_group_IT_number 1
_cell_length_a 11.194
_cell_length_b 11.194
_cell_length_c 11.194
_cell_angle_alpha 55.71
_cell_angle_beta 55.71
_cell_angle_gamma 55.71
loop_
_space_group_symop_operation_xyz
'x,y,z'
loop_
_atom_site_label
_atom_site_fract_x
_atom_site_fract_y
_atom_site_fract_z
Li1 0.140 0.141 0.640
Li2 0.640 0.140 0.141
Li3 0.141 0.640 0.140
Li4 0.390 0.390 0.390
Li5 0.641 0.139 0.641
Li6 0.641 0.641 0.139
Li7 0.139 0.641 0.641
Li8 0.889 0.391 0.392
Li9 0.391 0.392 0.889
Li10 0.392 0.889 0.391
Li11 0.640 0.640 0.640
Li12 0.891 0.391 0.890
Li13 0.890 0.891 0.391
Li14 0.391 0.890 0.891
Li15 0.890 0.890 0.890
Nb1 0.000 0.000 0.000
Nb2 0.003 0.002 0.494
Nb3 0.494 0.003 0.002
Nb4 0.002 0.494 0.003
Nb5 0.249 0.249 0.249
Nb6 0.000 0.499 0.499
Nb7 0.499 0.499 0.000
Nb8 0.249 0.250 0.750
Nb9 0.750 0.249 0.250
Nb10 0.250 0.750 0.249
Nb11 0.499 0.499 0.499
Nb12 0.750 0.248 0.750
Nb13 0.248 0.750 0.750
Nb14 0.750 0.750 0.248
Nb15 0.499 0.000 0.499
Nb16 0.750 0.750 0.750
O1 0.183 0.053 0.366
O2 0.366 0.183 0.053
O3 0.053 0.366 0.183
O4 0.429 0.110 0.305
O5 0.110 0.305 0.429
O6 0.679 0.055 0.359
O7 0.179 0.055 0.860
O8 0.305 0.429 0.110
O9 0.360 0.179 0.554
O10 0.860 0.179 0.055
O11 0.055 0.359 0.679
O12 0.554 0.360 0.179
O13 0.428 0.110 0.806
O14 0.919 0.105 0.316
O15 0.179 0.554 0.360
O16 0.609 0.306 0.429
O17 0.105 0.316 0.919
O18 0.359 0.679 0.055
O19 0.678 0.055 0.859
O20 0.806 0.428 0.110
O21 0.306 0.429 0.609
O22 0.861 0.179 0.554
O23 0.055 0.860 0.179
O24 0.429 0.609 0.306
O25 0.555 0.360 0.679
O26 0.929 0.109 0.805
O27 0.110 0.806 0.428
O28 0.179 0.554 0.861
O29 0.679 0.555 0.360
O30 0.316 0.919 0.105
O31 0.610 0.305 0.929
O32 0.360 0.679 0.555
O33 0.859 0.678 0.055
O34 0.805 0.428 0.610
O35 0.055 0.859 0.678
O36 0.554 0.861 0.179
O37 0.428 0.610 0.805
O38 0.929 0.610 0.305
O39 0.610 0.805 0.428
O40 0.109 0.805 0.929
O41 0.679 0.554 0.860
O42 0.805 0.929 0.109
O43 0.305 0.929 0.610
O44 0.860 0.679 0.554
O45 0.554 0.860 0.679
O46 0.929 0.612 0.804
O47 0.612 0.804 0.929
O48 0.804 0.929 0.612
```

Calculated formation energy   -2872.6 meV/atom
Symmetry   R3

---

[12]
First-principles (PBE-GGA) data for an optimized crystal structure of Li11Nb12O36, as listed in the Materials Project.

The structure in CIF format:
```
data_Li11Nb12O36
_space_group_name_H-M_alt 'P 1'
_space_group_IT_number 1
_cell_length_a 5.266
_cell_length_b 5.581
_cell_length_c 26.088
_cell_angle_alpha 92.67
_cell_angle_beta 89.92
_cell_angle_gamma 118.15
loop_
_space_group_symop_operation_xyz
'x,y,z'
loop_
_atom_site_label
_atom_site_fract_x
_atom_site_fract_y
_atom_site_fract_z
Li1 0.375 0.751 0.953
Li2 0.709 0.418 0.786
Li3 0.974 0.946 0.879
Li4 0.043 0.084 0.620
Li5 0.306 0.613 0.712
Li6 0.376 0.749 0.453
Li7 0.638 0.280 0.545
Li8 0.971 0.941 0.379
Li9 0.968 0.936 0.129
Li10 0.303 0.603 0.211
Li11 0.637 0.273 0.046
Nb1 0.010 0.025 0.999
Nb2 0.347 0.695 0.832
Nb3 0.678 0.360 0.915
Nb4 0.681 0.362 0.665
Nb5 0.014 0.029 0.748
Nb6 0.012 0.027 0.498
Nb7 0.347 0.695 0.581
Nb8 0.351 0.692 0.332
Nb9 0.681 0.358 0.414
Nb10 0.683 0.351 0.167
Nb11 0.003 0.014 0.253
Nb12 0.342 0.676 0.082
O1 0.618 0.989 0.877
O2 0.782 0.194 0.979
O3 0.249 0.111 0.939
O4 0.077 0.540 0.896
O5 0.544 0.458 0.855
O6 0.950 0.655 0.710
O7 0.710 0.666 0.958
O8 0.115 0.861 0.813
O9 0.582 0.778 0.772
O10 0.413 0.207 0.729
O11 0.878 0.125 0.688
O12 0.282 0.321 0.543
O13 0.043 0.331 0.791
O14 0.448 0.527 0.646
O15 0.915 0.445 0.605
O16 0.746 0.874 0.563
O17 0.213 0.794 0.522
O18 0.620 0.993 0.377
O19 0.377 0.997 0.624
O20 0.780 0.195 0.479
O21 0.248 0.112 0.438
O22 0.078 0.548 0.394
O23 0.536 0.474 0.359
O24 0.958 0.666 0.207
O25 0.714 0.663 0.459
O26 0.119 0.872 0.313
O27 0.579 0.794 0.270
O28 0.388 0.197 0.222
O29 0.870 0.128 0.189
O30 0.290 0.331 0.042
O31 0.074 0.339 0.291
O32 0.470 0.550 0.145
O33 0.919 0.463 0.104
O34 0.746 0.875 0.062
O35 0.214 0.798 0.022
O36 0.382 0.004 0.123
```

Calculated formation energy   -2841.0 meV/atom
Symmetry   P1

---

no.,VASP energy (eV/atom)
1,-7.02
2,-7.94
3,-2.46
4,-2.88
5,-4.69
6,-3.62
7,-4.09
8,-2.95
9,-2.81
10,-7.82
11,-7.87
12,-7.85